Here is a geometry-optimized Mn7GeN6 structure from Materials Project. Energies are from GGA-PBE.

Properties
Symmetry: Pbcn, No. 60
VASP energy in eV/atom: -8.51

Cell lengths 8.922, 6.915, 9.931 Å; angles 90.00, 90.00, 90.00 degrees
Positions (direct):
Mn 0.000 0.118 0.250
Mn 0.000 0.882 0.750
Mn 0.086 0.136 0.528
Mn 0.086 0.864 0.028
Mn 0.153 0.419 0.122
Mn 0.153 0.581 0.622
Mn 0.247 0.362 0.374
Mn 0.247 0.638 0.874
Mn 0.253 0.138 0.874
Mn 0.253 0.862 0.374
Mn 0.347 0.081 0.622
Mn 0.347 0.919 0.122
Mn 0.414 0.364 0.028
Mn 0.414 0.636 0.528
Mn 0.500 0.382 0.750
Mn 0.500 0.618 0.250
Mn 0.586 0.364 0.472
Mn 0.586 0.636 0.972
Mn 0.653 0.081 0.878
Mn 0.653 0.919 0.378
Mn 0.747 0.138 0.626
Mn 0.747 0.862 0.126
Mn 0.753 0.362 0.126
Mn 0.753 0.638 0.626
Mn 0.847 0.419 0.378
Mn 0.847 0.581 0.878
Mn 0.914 0.136 0.972
Mn 0.914 0.864 0.472
Ge 0.000 0.316 0.750
Ge 0.000 0.684 0.250
Ge 0.500 0.184 0.250
Ge 0.500 0.816 0.750
N 0.036 0.304 0.388
N 0.036 0.696 0.888
N 0.151 0.080 0.712
N 0.151 0.920 0.212
N 0.227 0.395 0.950
N 0.227 0.605 0.450
N 0.273 0.105 0.450
N 0.273 0.895 0.950
N 0.349 0.420 0.212
N 0.349 0.580 0.712
N 0.464 0.196 0.888
N 0.464 0.804 0.388
N 0.536 0.196 0.612
N 0.536 0.804 0.112
N 0.651 0.420 0.288
N 0.651 0.580 0.788
N 0.727 0.105 0.050
N 0.727 0.895 0.550
N 0.773 0.395 0.550
N 0.773 0.605 0.050
N 0.849 0.080 0.788
N 0.849 0.920 0.288
N 0.964 0.304 0.112
N 0.964 0.696 0.612